Density functional theory data (PBE with a Hubbard U) for CaLaCrSnO6 after structural relaxation.

Summary:
Raw total energy = -6.7606 eV per atom
Magnetic moment = 1.0 μB/f.u.
Energy with MP2020 corrections = -73.7 eV for the cell shown
SG = F-43m (216)
Energy above the most stable polymorph in this dataset = 564 meV per atom

CIF file:
```
data_CaLaCrSnO6
_symmetry_space_group_name_H-M 'P 1'
_symmetry_Int_Tables_number 1
_symmetry_space_group_name_Hall 'P 1'
_cell_length_a 5.7312
_cell_length_b 5.7312
_cell_length_c 5.7312
_cell_angle_alpha 60.00
_cell_angle_beta 60.00
_cell_angle_gamma 60.00
loop_
_atom_site_label
_atom_site_type_symbol
_atom_site_fract_x
_atom_site_fract_y
_atom_site_fract_z
Ca1 Ca 0.0000 0.0000 0.0000
La1 La 0.7500 0.7500 0.7500
Cr1 Cr 0.5000 0.5000 0.5000
Sn1 Sn 0.2500 0.2500 0.2500
O1 O 0.2695 0.2695 0.7305
O2 O 0.2695 0.7305 0.2695
O3 O 0.2695 0.7305 0.7305
O4 O 0.7305 0.2695 0.2695
O5 O 0.7305 0.2695 0.7305
O6 O 0.7305 0.7305 0.2695
```